[1]
## Pr2Ge5Ru3 (GGA-PBE)

Data for a geometry-optimized Pr2Ge5Ru3 structure.

Structure (extended XYZ):
```
20
Lattice="-2.9496 5.0051 6.2792 2.9496 -5.0051 6.2792 2.9496 5.0051 -6.2792" Properties=species:S:1:pos:R:3 pbc="T T T"
Ru 0.0000 5.9518 1.8235
Ru 2.9496 4.0585 1.8235
Ru 2.9496 -0.9467 4.4558
Ru 4.4244 0.0000 0.0000
Ru 0.0000 0.9467 4.4558
Ru 1.4748 0.0000 0.0000
Ge 0.0000 3.3135 5.1240
Ge 4.4244 0.0000 2.6553
Ge 1.4748 5.0051 3.6239
Ge 2.9496 -3.3135 5.1240
Ge 1.4748 0.0000 6.2792
Ge 1.4748 0.0000 2.6553
Ge 2.9496 1.6917 1.1552
Ge -1.4748 5.0051 3.6239
Ge 1.4748 5.0051 0.0000
Ge 0.0000 8.3186 1.1552
Pr 2.9496 2.6846 -1.7106
Pr 0.0000 2.6846 1.7106
Pr 2.9496 2.3205 4.5686
Pr 0.0000 2.3205 7.9899
```

Calculated values
**Uncorrected energy**: -6.6863 eV/atom
**Space-group type**: Ibam, No. 72
**E_form**: -0.636 eV/atom



[2]
## Pr12Ge5S28 (GGA-PBE)

Data for a geometry-optimized Pr12Ge5S28 structure.

Structure (extended XYZ):
```
45
Lattice="-10.2678 0.0000 0.0000 -0.0005 -11.7297 0.0000 5.1331 5.8614 8.8786" Properties=species:S:1:pos:R:3 pbc="T T T"
S 1.9160 -5.7590 5.0999
S -0.0018 3.2127 5.9035
S 2.9054 -4.3221 8.0408
S -7.0658 -2.8447 3.6747
S -5.1284 0.2614 2.8498
S -0.3608 -5.7461 7.9410
S -4.8202 -8.7209 0.9322
S -1.6467 -1.4617 1.3629
S -5.1427 -5.6146 3.0724
S -7.0523 -8.7099 3.7207
S -0.3135 0.0974 7.9644
S -1.5056 -5.7474 4.5284
S -3.3108 -4.3132 7.3678
S -1.6705 0.1026 4.6944
S -0.0028 -2.6488 5.9373
S -1.8407 -7.2217 1.4810
S -3.4992 1.7667 7.5876
S -8.2673 -1.4664 0.7408
S -8.0666 -7.2176 0.8488
S 3.2147 1.7732 8.1078
S -4.8047 -2.8355 0.9202
S -3.5384 -8.7180 4.2664
S -3.5215 -2.8353 4.2377
S 0.3033 -4.0828 2.0449
S -5.4879 4.3957 6.7737
S 1.9395 0.1120 5.3063
S 0.3811 1.5357 2.3567
S -5.5031 -1.3593 6.5461
Pr -7.1899 -4.4690 1.1869
Pr 2.0680 4.4991 7.7152
Pr -2.5693 -4.4643 2.0478
Pr -2.7008 -1.5613 6.9266
Pr -7.3575 -10.1742 1.0926
Pr 2.2005 -1.5620 7.7736
Pr -2.4119 -10.1826 1.9831
Pr -2.6118 -7.2241 6.7653
Pr -5.6170 1.3897 5.6149
Pr -5.6559 -4.3059 5.8174
Pr 0.5357 -1.3558 3.2510
Pr 0.4944 -7.4260 3.0771
Ge -5.1378 -7.8205 2.9548
Ge -10.2635 -2.7896 0.0038
Ge -5.1330 -1.9358 2.9680
Ge -0.0269 1.0102 5.9394
Ge 0.0249 -4.8441 5.9044
```

Calculated values
**Uncorrected energy**: -5.8529 eV/atom
**Space-group type**: P1, No. 1
**E_form**: -1.803 eV/atom



[3]
## Pr4Ge3S12 (GGA-PBE)

Data for a geometry-optimized Pr4Ge3S12 structure.

Structure (extended XYZ):
```
38
Lattice="6.2563 -9.7813 0.0000 6.2563 9.7813 0.0000 -9.0360 0.0000 7.2915" Properties=species:S:1:pos:R:3 pbc="T T T"
S 4.4679 -3.8699 2.2678
S 7.8138 -2.6145 0.9237
S 0.3874 3.0974 4.2490
S 5.3643 2.7102 0.6001
S -2.6961 -0.7124 5.6837
S -5.9631 0.2678 5.7854
S -1.1639 5.1990 6.4446
S -0.0501 -5.9114 5.9135
S 8.0782 0.7124 2.0379
S -0.0313 -2.8296 4.4486
S 4.9054 6.6839 0.6033
S 0.7004 0.0012 6.3388
S 3.5391 1.8145 4.9853
S 1.8008 -1.8145 1.3395
S 1.7989 1.8157 1.3404
S 4.4867 -6.9517 0.8029
S 1.2767 -5.3247 2.5492
S 3.3541 4.5823 2.7988
S -2.9605 2.6145 4.5695
S 3.5373 -1.8157 4.9861
S -3.2413 -4.4566 6.1949
S 0.8463 7.0711 4.2459
S 4.8112 -0.2678 2.1397
S -1.0379 -0.0012 2.6930
Pr -4.7765 -2.1883 7.0847
Pr 3.4617 0.0000 7.2602
Pr 3.4789 7.4687 3.1484
Pr -1.0391 2.3126 6.7942
Pr 5.9978 2.1883 3.4389
Pr 1.7234 0.0000 3.6144
Pr 6.9002 -5.2804 1.5171
Pr 2.3822 -4.5009 5.1629
Ge 3.7318 -8.0664 2.5705
Ge 5.1376 -2.0741 3.3918
Ge 6.9745 5.9923 1.0244
Ge -0.7862 -1.7149 6.2163
Ge 2.4565 3.7890 4.6701
Ge -5.6367 2.0741 7.0375
```

Calculated values
**Uncorrected energy**: -5.5931 eV/atom
**Space-group type**: R3c, No. 161
**E_form**: -1.562 eV/atom



[4]
## Pr6Ge3Se14 (GGA-PBE)

Data for a geometry-optimized Pr6Ge3Se14 structure.

Structure (extended XYZ):
```
23
Lattice="6.9771 1.2830 8.1122 -10.6001 0.4714 1.8843 -0.0857 -6.0413 1.0292" Properties=species:S:1:pos:R:3 pbc="T T T"
Se -4.0531 -1.9992 6.5268
Se -0.0475 -3.3488 0.5705
Se -6.9427 -2.3744 4.0842
Se 1.1073 -3.2105 9.2047
Se -3.3582 -2.6366 2.8434
Se 1.0150 -1.0558 3.9474
Se -4.3571 1.3455 7.9624
Se -0.9497 -0.4110 7.5691
Se -4.7455 0.4240 4.0145
Se -1.4304 0.2298 1.6569
Se -8.4386 0.4383 2.2977
Se 3.1156 -3.8543 5.5926
Se -1.0656 -3.7807 5.6765
Se 3.2181 -0.4915 7.4433
Pr 4.0214 -3.3055 8.4045
Pr -1.8240 -3.1987 8.5449
Pr -5.7917 -1.2228 1.5131
Pr 0.9633 -4.1005 3.4835
Pr -1.8732 -0.7357 4.6988
Pr -6.6228 -0.3708 6.4450
Ge -4.7983 -3.2996 4.6488
Ge -0.0146 -1.0325 0.1759
Ge 1.0738 -2.1060 6.5675
```

Calculated values
**Uncorrected energy**: -5.3141 eV/atom
**Space-group type**: P3, No. 143
**E_form**: -1.623 eV/atom



Question: The highest uncorrected energy belongs to which entry?
Answer: Pr6Ge3Se14